Below is a relaxed structure of Nb4Rh, with properties calculated at the PBE-GGA level.

Values from the calculation:
E in Ry/atom: -0.7113
Symmetry: Fmmm, No. 69
DFT formation energy in eV/atom: -0.12
Spin magnetization in μB per atom: 0.001

Cell lengths 11.517, 11.414, 2.843 Å; angles 84.93, 80.83, 14.24 degrees
Fractional positions:
Nb 0.093 0.093 0.907
Nb 0.303 0.303 0.697
Nb 0.697 0.697 0.303
Nb 0.907 0.907 0.093
Rh 0.500 0.500 0.500